Record 1
First-principles (GGA-PBE) data for a geometry-optimized HoScAl2 structure, as listed in Materials Project.

extended XYZ file:
```
4
Lattice="0.000 3.477 3.477 3.477 0.000 3.477 3.477 3.477 0.000" Properties=species:S:1:pos:R:3 pbc="T T T"
Al 5.215 5.215 5.215
Al 1.738 1.738 1.738
Sc 0.000 0.000 0.000
Ho 3.477 3.477 3.477
```

Results
**V**: 84.1 Å³/f.u.
**Symmetry**: Fm-3m
**E**: -5.008 eV per atom


Record 2
First-principles (GGA-PBE) data for a geometry-optimized HoAlSi structure, as listed in Materials Project.

extended XYZ file:
```
6
Lattice="2.006 -5.120 0.000 2.006 5.120 0.000 0.000 0.000 5.679" Properties=species:S:1:pos:R:3 pbc="T T T"
Al 0.000 0.000 0.000
Si 2.006 -1.029 4.259
Al 0.000 0.000 2.839
Ho 2.006 -1.988 1.420
Ho 2.006 1.988 4.259
Si 2.006 1.029 1.420
```

Results
**V**: 58.3 Å³/f.u.
**Symmetry**: Cmcm
**E**: -5.203 eV per atom


Record 3
First-principles (GGA-PBE) data for a geometry-optimized Ho6Ta4Al43 structure, as listed in Materials Project.

extended XYZ file:
```
106
Lattice="5.364 4.844 -8.464 -10.424 -3.649 -1.376 -6.196 15.777 5.102" Properties=species:S:1:pos:R:3 pbc="T T T"
Al -1.370 3.623 -2.835
Al -3.139 16.415 -3.191
Al -12.694 11.275 1.099
Al -4.333 9.690 -4.518
Ho -0.853 11.975 -1.442
Ho -7.979 14.820 -0.016
Al -4.732 14.327 -3.988
Ta -0.078 5.273 -1.046
Al -7.624 5.168 -4.565
Al -6.523 -1.550 -3.128
Al 1.078 11.014 -3.898
Al -8.233 7.592 -2.767
Al -9.043 9.065 -0.543
Al -9.772 16.189 -2.370
Al -9.886 13.349 -1.903
Al -10.663 4.698 1.373
Al -7.382 9.788 1.510
Al -1.206 6.588 -6.482
Al -6.640 7.078 -6.309
Ho 0.021 8.646 -1.920
Ho -9.218 7.475 2.313
Al -0.682 4.007 -5.456
Ta 0.000 0.000 0.000
Al -8.680 14.365 4.595
Al -3.632 11.805 -0.173
Al -3.858 12.545 2.582
Al -3.874 7.184 -6.248
Al -6.289 14.152 2.948
Al -3.005 5.200 -4.375
Al 0.141 2.587 -0.761
Al -3.011 14.171 -1.416
Al -1.531 6.844 0.616
Al -6.180 11.296 3.624
Al -8.455 12.521 2.394
Al -7.940 -2.236 -0.869
Al -7.476 5.077 -1.833
Al -5.945 1.176 -3.094
Al -5.135 -0.297 -5.318
Al -3.854 2.288 -1.720
Ho -5.182 7.002 -3.154
Ho -7.402 4.653 1.413
Al -4.617 9.895 1.571
Al -2.444 6.357 -1.951
Al -5.895 13.040 -1.421
Al -0.974 18.034 -2.601
Al -2.801 4.451 -7.132
Al -6.525 2.645 -0.750
Ho -2.757 16.824 0.127
Al 0.364 8.430 -4.953
Al 0.699 13.776 -3.978
Al -4.634 16.541 2.779
Ho -6.074 9.970 -1.584
Al -5.957 7.431 2.353
Al -3.023 9.381 -1.971
Al 1.463 2.745 -6.713
Al -1.484 0.784 -2.368
Al -12.575 6.637 1.981
Al -10.440 0.832 0.102
Al -2.214 7.907 -4.195
Ho 1.925 3.797 -3.488
Ho -11.122 12.325 3.882
Al -9.190 3.291 -0.663
Al -5.312 15.796 -1.644
Al -4.045 5.492 1.745
Al 1.438 5.697 -5.837
Al -7.403 14.685 -3.018
Ho -3.278 2.153 -4.722
Al -6.329 11.952 -3.902
Al -2.066 13.682 -4.075
Ta -5.221 4.812 -5.866
Al -10.050 10.385 1.744
Al -11.124 10.889 -1.118
Al -8.252 11.772 -0.363
Al -4.968 2.820 -7.686
Al 3.802 4.080 -6.140
Ta -6.035 12.161 1.128
Al -8.246 2.801 -3.322
Al -9.621 6.338 -0.576
Al -2.373 1.235 0.368
Al -4.706 14.538 0.711
Al -3.826 -0.606 -2.771
Al -4.208 7.718 -0.125
Al -11.621 8.542 0.215
Ta -3.098 7.889 2.551
Al -10.574 12.965 0.718
Al -1.234 1.801 -7.069
Al -14.247 10.894 3.358
Al -1.635 10.634 -4.162
Ta -0.755 15.348 -2.316
Al -0.133 6.084 -3.620
Al -5.361 3.933 -3.317
Al -8.117 0.558 -1.547
Al -8.813 10.616 -2.787
Al -4.927 5.021 -0.836
Al 0.075 1.492 -4.523
Ho -5.498 -0.196 -0.156
Al -3.780 11.896 -2.905
Al -2.293 4.120 -0.171
Al 3.026 8.076 -5.944
Al -6.551 2.434 -5.449
Ta -12.212 9.185 2.828
Al -6.924 7.282 -0.220
Al -1.911 9.607 0.536
Al -7.049 9.255 -4.613
Ta -4.408 2.944 0.898
Al -8.963 12.852 -4.567
```

Results
**V**: 949.5 Å³/f.u.
**Symmetry**: P6_3/mcm
**E**: -4.758 eV per atom


Record 4
First-principles (GGA-PBE) data for a geometry-optimized TbHoAl4 structure, as listed in Materials Project.

extended XYZ file:
```
6
Lattice="1.102 -1.253 5.307 -1.241 3.629 4.030 -4.166 -1.077 3.527" Properties=species:S:1:pos:R:3 pbc="T T T"
Al -0.608 1.350 6.276
Al -3.241 1.438 5.386
Al -2.070 -1.002 6.025
Al -2.690 0.812 8.039
Tb 0.000 0.000 0.000
Ho -1.076 0.325 3.216
```

Results
**V**: 121.7 Å³/f.u.
**Symmetry**: F-43m
**E**: -4.549 eV per atom


Record 5
First-principles (GGA-PBE) data for a geometry-optimized Ho6Al43W4 structure, as listed in Materials Project.

extended XYZ file:
```
106
Lattice="5.534 8.668 -4.066 -8.417 -4.354 -5.700 -11.148 10.925 8.117" Properties=species:S:1:pos:R:3 pbc="T T T"
Ho -11.431 11.901 2.765
Al 3.783 6.801 -2.782
Al -5.668 9.787 -1.890
Al -3.838 2.120 -1.884
Al -4.511 8.004 3.275
Ho -11.115 4.195 1.806
Al -3.284 8.412 -1.576
Al -16.944 6.009 2.392
Al -10.475 9.172 -1.425
Al -10.193 13.120 0.236
Al -11.771 8.790 3.895
Al 2.091 5.454 -4.469
Al -8.058 4.693 2.860
Ho -3.700 11.116 2.675
Al -4.974 -1.140 -5.297
Al -7.315 7.406 3.437
Al -6.716 7.834 -5.086
Al -5.318 4.022 -3.183
Al -3.263 5.940 -2.943
Al -7.935 4.071 -2.121
W -9.143 9.365 3.438
Al -3.483 10.917 -0.411
Al -6.545 9.984 2.880
Al -9.602 7.552 5.248
Al -15.100 7.524 1.029
Al -8.267 11.233 -1.167
Al -9.111 6.573 -2.294
Al -13.933 3.058 0.199
Al -5.560 3.368 -5.930
Al -4.920 8.667 0.645
Ho 1.526 5.107 -1.128
Al -6.621 -2.910 -4.000
Al -6.657 15.404 2.018
Al -12.954 13.806 0.584
W -14.494 5.022 1.935
Al -1.631 4.180 -1.626
Al -4.185 8.337 -4.142
Al -10.747 6.828 -0.073
Ho -2.599 3.339 -4.413
Al -6.620 1.604 -1.717
Al -13.060 8.363 -0.593
Al -13.509 9.534 1.938
Al -12.400 11.060 -0.023
Al -2.789 -0.010 -3.817
Al -5.632 3.514 2.218
Ho -1.914 8.478 1.377
Al -7.724 2.528 -4.478
Al -13.174 5.636 -0.373
Al -2.202 14.007 1.573
Al -5.213 16.958 3.765
Al -7.374 -0.164 -3.666
Al -9.846 6.903 2.493
Ho -6.039 6.710 -1.909
Al -8.068 9.017 -2.974
Al -3.706 4.883 -7.278
Al -10.819 11.872 -2.239
Al -2.622 0.563 0.026
Al -0.522 5.705 -3.587
Al -8.363 5.453 0.242
W -5.574 5.463 4.059
Al -3.411 5.587 2.478
Al -7.545 9.472 5.489
Al -0.094 4.324 -5.949
Al -8.713 11.218 1.535
Al -11.507 1.879 -0.442
Al -9.300 1.723 -2.264
Al -7.411 13.636 0.068
Al -10.325 10.356 5.629
Al -7.486 5.256 -4.528
W -4.329 14.510 3.125
Al -10.548 4.323 -1.238
Al -6.096 11.168 0.472
Al 1.069 7.716 -2.678
Al -0.857 9.603 -1.275
Ho -8.450 2.377 0.611
Ho -7.139 14.487 5.179
Al -6.307 12.711 2.829
Al -5.764 4.007 -0.482
Al -0.971 6.876 -1.055
Al -5.173 1.365 -4.131
W -4.888 5.875 -5.086
Al -1.103 11.590 0.776
Ho -7.992 8.530 0.260
Al -10.768 9.300 1.294
W -5.071 1.550 0.482
Al -3.537 1.110 -6.352
W 0.000 0.000 0.000
Ho -5.011 -0.994 -1.893
Ho -14.554 7.565 4.311
Al -1.476 8.360 -3.746
Al -3.556 6.067 -0.224
Al -12.555 6.880 2.097
Al -9.397 12.793 6.833
Al -4.731 13.517 0.616
Al -2.259 6.450 -5.544
Al -3.212 3.367 0.590
Al 1.932 10.122 -1.437
Al -5.963 6.223 1.325
Al -1.077 1.434 -2.233
Al -8.858 13.875 2.483
Al -12.944 9.481 6.418
Al -0.401 2.636 0.286
Al 0.654 3.204 -3.414
Al -8.470 11.871 4.282
Al -9.964 -0.981 -2.830
W -1.285 5.084 0.926
```

Results
**V**: 931.7 Å³/f.u.
**Symmetry**: P6_3/mcm
**E**: -4.809 eV per atom


Record 6
First-principles (GGA-PBE) data for a geometry-optimized AlI3 structure, as listed in Materials Project.

extended XYZ file:
```
16
Lattice="6.741 0.000 0.000 0.000 10.211 0.000 0.000 4.101 12.278" Properties=species:S:1:pos:R:3 pbc="T T T"
I 1.891 9.820 8.561
I 1.823 5.417 6.649
I 5.194 10.946 11.767
I 1.959 11.809 4.815
Al 3.351 3.764 5.574
Al 0.019 5.814 11.713
I 5.329 0.453 1.324
I 4.782 2.503 7.463
Al 6.722 8.498 0.565
I 1.412 13.859 10.954
I 4.850 4.492 3.717
I 1.547 3.366 0.511
Al 3.390 10.548 6.704
I 5.261 6.543 9.856
I 4.917 8.895 5.628
I 1.480 7.769 2.422
```

Results
**V**: 211.3 Å³/f.u.
**Symmetry**: P2_1/c
**E**: -2.750 eV per atom


Record 7
First-principles (GGA-PBE) data for a geometry-optimized AlInI4 structure, as listed in Materials Project.

extended XYZ file:
```
24
Lattice="-4.504 -5.370 9.746 6.807 -2.408 1.819 3.047 9.976 6.905" Properties=species:S:1:pos:R:3 pbc="T T T"
In 1.334 -0.865 7.798
I 3.278 2.474 6.575
In 6.106 5.556 6.149
I -0.845 -3.172 6.374
I 6.194 5.371 12.096
Al 5.708 7.022 10.204
Al 5.506 1.237 6.923
I 6.893 2.815 8.434
I 2.071 -0.275 11.895
I 1.591 -3.884 9.685
In 4.015 3.064 10.672
I -2.415 -5.044 9.771
Al -0.358 -4.823 8.267
I 3.758 6.083 8.785
In -0.757 -3.357 12.322
I 5.091 -0.987 8.117
I -1.333 1.290 13.796
I -1.543 -0.617 10.037
I 1.955 -0.665 4.234
I 0.258 3.186 10.353
I 7.765 7.243 8.699
I 3.395 2.864 14.237
Al -0.157 0.962 11.547
I 6.682 0.909 4.675
```

Results
**V**: 278.1 Å³/f.u.
**Symmetry**: P2_1/m
**E**: -2.737 eV per atom


Record 8
First-principles (GGA-PBE) data for a geometry-optimized Rb2AlInI6 structure, as listed in Materials Project.

extended XYZ file:
```
10
Lattice="0.000 6.074 6.074 6.074 0.000 6.074 6.074 6.074 0.000" Properties=species:S:1:pos:R:3 pbc="T T T"
I 6.074 9.356 6.074
Al 0.000 0.000 0.000
I 9.356 6.074 6.074
I 6.074 6.074 9.356
Rb 3.037 3.037 3.037
Rb 9.112 9.112 9.112
I 6.074 2.793 6.074
I 2.793 6.074 6.074
I 6.074 6.074 2.793
In 6.074 6.074 6.074
```

Results
**V**: 448.3 Å³/f.u.
**Symmetry**: Fm-3m
**E**: -2.668 eV per atom


Record 9
First-principles (GGA-PBE) data for a geometry-optimized La8Al4I7 structure, as listed in Materials Project.

extended XYZ file:
```
57
Lattice="4.315 0.000 0.370 1.821 17.574 4.103 -0.030 -0.114 25.546" Properties=species:S:1:pos:R:3 pbc="T T T"
I 2.037 10.840 26.715
Al 2.991 9.741 15.828
I 2.540 12.846 21.022
Al 1.672 11.805 5.802
La 5.068 7.456 16.862
La 3.743 1.657 6.970
La 3.038 13.001 15.301
I 4.041 6.611 3.289
La 2.361 15.810 23.022
Al 4.413 5.659 24.210
La 4.258 8.427 26.152
Al 0.382 0.956 20.701
I 1.954 14.515 27.939
La 4.237 16.655 26.525
Al 2.325 4.413 23.201
La 4.035 12.249 3.644
Al 1.037 6.396 13.141
La 1.683 15.305 5.644
Al 3.758 13.058 6.806
La 1.045 9.983 13.165
La 3.071 4.436 14.712
La 1.398 12.948 9.089
I 1.706 3.512 5.295
Al 5.721 16.524 9.303
Al 3.120 7.696 14.200
La 4.401 2.157 24.358
La 3.721 9.847 7.324
I 4.157 2.951 2.052
Al 2.461 2.255 21.739
I 5.312 15.187 14.113
La 1.212 3.821 11.126
La 2.724 10.276 18.935
I 3.255 1.874 12.691
I 4.778 7.879 20.220
I 4.503 10.079 23.376
I 4.722 16.492 20.888
La 3.365 15.771 11.445
La 4.901 13.642 18.879
I 1.394 0.973 9.101
La 2.054 5.212 26.365
I 4.386 13.957 24.702
La 2.381 7.617 22.690
I 3.564 4.612 8.987
I 1.616 7.380 6.638
La 1.827 9.027 3.856
Al 3.636 15.221 8.269
I 1.343 9.576 9.803
La 3.393 7.184 11.085
I 3.333 12.362 11.959
La 4.697 4.520 20.918
La 2.742 1.680 18.568
Al 5.075 11.049 16.880
I 3.934 17.451 29.818
I 2.774 5.080 18.058
I 2.865 15.579 17.297
I 0.798 2.267 15.906
La 1.875 0.818 3.458
```

Results
**V**: 646.5 Å³/f.u.
**Symmetry**: P1
**E**: -4.413 eV per atom